Density functional theory data (GGA+U) for Li2FeBO4 after structural relaxation.

Results
Total DFT energy (no corrections): -6.53 eV/atom
Calculated formation energy: -2310 meV/atom
Total energy after the MP2020 corrections: -114.48 eV for the cell shown
Energy above the most stable polymorph in this dataset: 0.003 eV per atom
SG: Pc, No. 7

a = 4.819 Å, b = 5.119 Å, c = 7.834 Å
α = 90.00°, β = 127.72°, γ = 90.00°
Atoms (fractional coordinates):
Li1 0.000 0.153 0.000
Li2 0.000 0.847 0.500
Li3 0.250 0.314 0.753
Li4 0.250 0.686 0.253
Fe1 0.741 0.322 0.247
Fe2 0.741 0.678 0.747
B1 0.490 0.179 0.500
B2 0.490 0.821 0.000
O1 0.173 0.193 0.493
O2 0.173 0.807 0.993
O3 0.401 0.307 0.299
O4 0.401 0.693 0.799
O5 0.591 0.100 0.008
O6 0.591 0.900 0.508
O7 0.789 0.320 0.700
O8 0.789 0.680 0.200